Entry from the Materials Project: a relaxed structure of YErRu2 (PBE).

Computed properties:
Calculated formation energy (eV per atom): -0.330
Electronic total energy (eV/atom): -7.726
ρ (g/cm³): 9.77

Geometry as extended XYZ:
```
4
Lattice="4.286 2.148 0.029 0.720 3.876 2.727 2.799 -0.286 3.882" Properties=species:S:1:pos:R:3 pbc="T T T"
Ru 1.951 1.435 1.659
Y 0.000 0.000 0.000
Er 3.902 2.869 3.319
Ru 5.854 4.304 4.978
```